No. 1
Material: Nd23Mg4Rh7
Method: DFT, GGA-PBE
State: optimized geometry

Calculated values
Its spin magnetization is 0.0 Bohr magnetons per cell. For the energy relative to the elements, the calculation gives -0.387 eV per atom. Its total energy is -361.5 eV/cell.

Lattice parameters (Å, degrees): 10.0801 10.0801 22.6999 90.00 90.00 120.00
Space group P6_3mc (No. 186)
Inequivalent atoms, fractional coordinates:
Nd: 0.0000 0.0000 0.0000 (multiplicity 2)
Nd: 0.0804 0.5402 0.5864 (multiplicity 6)
Nd: 0.0842 0.5421 0.8587 (multiplicity 6)
Nd: 0.1279 0.2557 0.1366 (multiplicity 6)
Nd: 0.2049 0.4099 0.2833 (multiplicity 6)
Nd: 0.2081 0.4163 0.4494 (multiplicity 6)
Nd: 0.2086 0.4171 0.7217 (multiplicity 6)
Nd: 0.2106 0.4213 0.9926 (multiplicity 6)
Nd: 0.3333 0.6667 0.1455 (multiplicity 2)
Mg: 0.0000 0.0000 0.2518 (multiplicity 2)
Mg: 0.1063 0.2126 0.8647 (multiplicity 6)
Rh: 0.0435 0.5217 0.2112 (multiplicity 6)
Rh: 0.1430 0.2860 0.5648 (multiplicity 6)
Rh: 0.3333 0.6667 0.3650 (multiplicity 2)

=====

No. 2
Material: ThAs8O18
Method: DFT, GGA-PBE
State: optimized geometry

Calculated values
For the energy relative to the elements, the calculation gives -1.957 eV per atom. Its total energy is -696.9 eV/cell. As for the MP2020-corrected energy: -746.4 eV for the cell shown.

Lattice parameters (Å, degrees): 18.5720 5.3055 17.7583 90.00 99.34 90.00
Space group C2/c (No. 15)
Inequivalent atoms, fractional coordinates:
Th: 0.0000 0.2192 0.2500 (multiplicity 4)
As: 0.0014 0.2743 0.5932 (multiplicity 8)
As: 0.1228 0.3219 0.4818 (multiplicity 8)
As: 0.1501 0.2843 0.7762 (multiplicity 8)
As: 0.1889 0.3602 0.1381 (multiplicity 8)
O: 0.0316 0.0247 0.8641 (multiplicity 8)
O: 0.0414 0.4868 0.1488 (multiplicity 8)
O: 0.0645 0.1498 0.5393 (multiplicity 8)
O: 0.0706 0.3798 0.9771 (multiplicity 8)
O: 0.0978 0.4869 0.3065 (multiplicity 8)
O: 0.1061 0.0279 0.7352 (multiplicity 8)
O: 0.1924 0.4259 0.5584 (multiplicity 8)
O: 0.2086 0.4008 0.7154 (multiplicity 8)
O: 0.2122 0.2016 0.8581 (multiplicity 8)

=====

No. 3
Material: Na3YBr6
Method: DFT, GGA-PBE
State: optimized geometry

Calculated values
Its spin magnetization is 0.0 Bohr magnetons per cell. For the energy relative to the elements, the calculation gives -1.878 eV per atom. Its total energy is -143.3 eV/cell. As for the MP2020-corrected energy: -156.2 eV for the cell shown.

Lattice parameters (Å, degrees): 11.2750 11.2750 11.2750 90.00 90.00 90.00
Space group Fm-3m (No. 225)
Inequivalent atoms, fractional coordinates:
Na: 0.0000 0.0000 0.0000 (multiplicity 4)
Na: 0.2500 0.2500 0.2500 (multiplicity 8)
Y: 0.0000 0.0000 0.5000 (multiplicity 4)
Br: 0.0000 0.0000 0.2536 (multiplicity 24)

=====

No. 4
Material: CeRhPb
Method: DFT, GGA-PBE
State: optimized geometry

Calculated values
For the energy relative to the elements, the calculation gives -0.643 eV per atom. Its total energy is -56.8 eV/cell.

Lattice parameters (Å, degrees): 7.6795 7.6795 4.0609 90.00 90.00 120.00
Space group P-62m (No. 189)
Inequivalent atoms, fractional coordinates:
Ce: 0.0000 0.5898 0.0000 (multiplicity 3)
Rh: 0.0000 0.0000 0.0000 (multiplicity 1)
Rh: 0.3333 0.6667 0.5000 (multiplicity 2)
Pb: 0.0000 0.2578 0.5000 (multiplicity 3)

=====

No. 5
Material: Si3Bi4O12
Method: DFT, GGA-PBE
State: optimized geometry

Calculated values
For the energy relative to the elements, the calculation gives -2.464 eV per atom. Its total energy is -519.2 eV/cell. As for the MP2020-corrected energy: -552.1 eV for the cell shown.

Lattice parameters (Å, degrees): 10.4288 10.4288 10.4288 90.00 90.00 90.00
Space group I-43d (No. 220)
Inequivalent atoms, fractional coordinates:
Si: 0.0000 0.2500 0.3750 (multiplicity 12)
Bi: 0.0841 0.0841 0.0841 (multiplicity 16)
O: 0.0394 0.1190 0.6909 (multiplicity 48)

=====

No. 6
Material: In2Bi4Pb4S13
Method: DFT, GGA-PBE
State: optimized geometry

Calculated values
Its spin magnetization is 0.1 Bohr magnetons per cell. For the energy relative to the elements, the calculation gives -0.741 eV per atom. Its total energy is -400.8 eV/cell. As for the MP2020-corrected energy: -427.0 eV for the cell shown.

Lattice parameters (Å, degrees): 21.7953 27.0573 4.0422 90.00 90.00 90.00
Space group Pbam (No. 55)
Inequivalent atoms, fractional coordinates:
In: 0.0000 0.0000 0.0000 (multiplicity 2)
In: 0.0000 0.5000 0.0000 (multiplicity 2)
In: 0.2253 0.1626 0.0000 (multiplicity 4)
Bi: 0.0231 0.3444 0.0000 (multiplicity 4)
Bi: 0.1168 0.5848 0.5000 (multiplicity 4)
Bi: 0.1411 0.8908 0.0000 (multiplicity 4)
Bi: 0.1542 0.0246 0.5000 (multiplicity 4)
Pb: 0.0362 0.1599 0.5000 (multiplicity 4)
Pb: 0.1252 0.7504 0.5000 (multiplicity 4)
Pb: 0.1728 0.2785 0.5000 (multiplicity 4)
Pb: 0.1840 0.4310 0.5000 (multiplicity 4)
S: 0.0071 0.4303 0.5000 (multiplicity 4)
S: 0.0262 0.2788 0.5000 (multiplicity 4)
S: 0.0605 0.8133 0.0000 (multiplicity 4)
S: 0.0636 0.9530 0.5000 (multiplicity 4)
S: 0.0804 0.0697 0.0000 (multiplicity 4)
S: 0.1071 0.6563 0.0000 (multiplicity 4)
S: 0.1167 0.5086 0.0000 (multiplicity 4)
S: 0.1206 0.2009 0.0000 (multiplicity 4)
S: 0.1497 0.3590 0.0000 (multiplicity 4)
S: 0.2075 0.8527 0.5000 (multiplicity 4)
S: 0.2225 0.9763 0.0000 (multiplicity 4)
S: 0.2269 0.7456 0.0000 (multiplicity 4)
S: 0.2450 0.1081 0.5000 (multiplicity 4)

=====

No. 7
Material: LiTiO2
Method: DFT, GGA-PBE
State: optimized geometry

Calculated values
For the energy relative to the elements, the calculation gives -2.972 eV per atom. Its total energy is -241.7 eV/cell. As for the MP2020-corrected energy: -252.7 eV for the cell shown.

Lattice parameters (Å, degrees): 5.8476 8.3938 5.8821 90.00 90.00 90.00
Space group Imma (No. 74)
Inequivalent atoms, fractional coordinates:
Li: 0.0000 0.0000 0.0000 (multiplicity 4)
Li: 0.2500 0.2500 0.2500 (multiplicity 4)
Ti: 0.0000 0.0000 0.5000 (multiplicity 4)
Ti: 0.2500 0.2500 0.7500 (multiplicity 4)
O: 0.0000 0.2500 0.4921 (multiplicity 4)
O: 0.0000 0.2500 0.9774 (multiplicity 4)
O: 0.2500 0.9996 0.2500 (multiplicity 8)

=====

No. 8
Material: Ho5CuPb3
Method: DFT, GGA-PBE
State: optimized geometry

Calculated values
Its spin magnetization is 0.0 Bohr magnetons per cell. For the energy relative to the elements, the calculation gives -0.479 eV per atom. Its total energy is -84.9 eV/cell.

Lattice parameters (Å, degrees): 9.1260 9.1260 6.7311 90.00 90.00 120.00
Space group P6_3/mcm (No. 193)
Inequivalent atoms, fractional coordinates:
Ho: 0.0000 0.2509 0.2500 (multiplicity 6)
Ho: 0.3333 0.6667 0.0000 (multiplicity 4)
Cu: 0.0000 0.0000 0.0000 (multiplicity 2)
Pb: 0.0000 0.3950 0.7500 (multiplicity 6)